[1]
Compound: Rb6Nb6H14O27
Source: the Materials Project database
Functional: GGA-PBE
Structure: relaxed

Cell lengths 9.7829, 10.6174, 17.2237 Å; angles 73.14, 88.28, 65.10 degrees
Closest atoms and distances in Å follow each position.
Sites, in units of the cell vectors:
Rb: 0.0000 0.0000 0.0000  5 O 2.76-3.06, 1 H 3.00
Rb: 0.0180 0.2345 0.5834  5 O 2.87-3.06, 1 H 3.17
Rb: 0.1737 0.3563 0.1831  5 O 2.80-3.05, 1 H 2.92
Rb: 0.2924 0.5942 0.9723  6 O 2.92-3.14, 3 H 2.94-3.21
Rb: 0.3217 0.8558 0.5129  8 O 2.99-3.28, 3 H 3.19-3.33
Rb: 0.3515 0.0152 0.8548  6 O 2.85-3.13, 1 H 3.01
Rb: 0.4252 0.2582 0.4407  6 O 2.86-3.15, 1 H 3.05
Rb: 0.4593 0.4193 0.7862  8 O 2.97-3.32, 2 H 3.24-3.31
Rb: 0.4888 0.6802 0.3233  6 O 2.91-3.14, 3 H 2.94-3.22
Rb: 0.6098 0.9188 0.1143  6 O 2.82-3.03, 2 H 2.93-3.15
Rb: 0.7629 0.0416 0.7094  4 O 2.85-3.06, 1 H 3.16
Rb: 0.7825 0.2752 0.2968  5 O 2.79-3.05, 1 H 3.01
Nb: 0.0275 0.6040 0.7866  4 O 1.83-2.04
Nb: 0.0585 0.8507 0.3292  4 O 1.82-2.03
Nb: 0.1028 0.3359 0.9625  5 O 1.83-2.03
Nb: 0.1451 0.5732 0.5004  3 O 1.82-1.95
Nb: 0.6356 0.7037 0.7958  3 O 1.82-1.95
Nb: 0.6785 0.9411 0.3326  3 O 1.81-2.01
Nb: 0.7227 0.4239 0.9657  5 O 1.83-2.05
Nb: 0.7519 0.6735 0.5086  4 O 1.82-2.03
Nb: 0.8504 0.6833 0.9516  3 O 1.81-2.02
Nb: 0.8779 0.9348 0.4934  3 O 1.80-2.00
Nb: 0.9025 0.3415 0.8022  3 O 1.81-1.99
Nb: 0.9299 0.5919 0.3439  3 O 1.81-2.02
H: 0.0040 0.7115 0.0939  1 O 0.99
H: 0.0465 0.1100 0.2026  1 O 0.99
H: 0.0521 0.8455 0.8536  1 O 1.01
H: 0.0797 0.9825 0.8044  1 O 0.98
H: 0.0823 0.6981 0.1771  1 O 0.99
H: 0.0987 0.7159 0.6161  1 O 1.01
H: 0.1625 0.8434 0.6832  1 O 0.99
H: 0.2488 0.9212 0.1708  1 O 1.00
H: 0.2625 0.5564 0.2830  1 O 0.99
H: 0.2790 0.0299 0.0918  1 O 1.00
H: 0.2906 0.8951 0.6902  1 O 1.00
H: 0.3801 0.8152 0.0557  1 O 0.99
H: 0.4007 0.4611 0.2399  1 O 0.99
H: 0.4895 0.3810 0.6059  1 O 1.00
H: 0.5034 0.2457 0.2042  1 O 1.00
H: 0.5179 0.7197 0.0125  1 O 0.99
H: 0.5307 0.3547 0.1245  1 O 1.00
H: 0.6187 0.4312 0.6134  1 O 0.99
H: 0.6820 0.5602 0.6799  1 O 1.00
H: 0.6978 0.5778 0.1184  1 O 0.99
H: 0.7002 0.2932 0.4906  1 O 0.98
H: 0.7289 0.4296 0.4422  1 O 1.00
H: 0.7332 0.1631 0.0931  1 O 0.99
H: 0.7761 0.5649 0.2013  1 O 0.99
H: 0.7894 0.7658 0.6632  1 O 1.01
H: 0.8217 0.0347 0.1753  1 O 1.00
H: 0.9605 0.2419 0.1214  1 O 1.00
H: 0.9907 0.5099 0.6321  1 O 1.01
O: 0.0062 0.4628 0.7344  1 H 1.68
O: 0.0145 0.9674 0.4093  2 Nb 2.00-2.03
O: 0.0407 0.5059 0.0051  2 Nb 2.00
O: 0.0558 0.6928 0.2862  2 H 1.88-1.94, 2 Nb 2.02-2.03
O: 0.0796 0.2332 0.8846  2 Nb 1.97-2.03
O: 0.0845 0.7454 0.5548  1 H 1.01
O: 0.1038 0.6765 0.1246  2 H 0.99
O: 0.1073 0.9055 0.8571  2 H 0.98-1.01
O: 0.1146 0.4692 0.4309  2 Nb 1.95-2.06
O: 0.1325 0.1838 0.4253  3 O 2.99-3.16, 3 Rb 3.02-3.31
O: 0.1342 0.6796 0.7141  2 H 1.63-1.80
O: 0.1713 0.9189 0.2584  2 H 1.67-1.84, 1 Nb 1.82
O: 0.1837 0.4457 0.8702  2 Nb 1.95-2.03
O: 0.1869 0.9284 0.6635  2 H 0.99-1.00
O: 0.2237 0.6867 0.4176  2 Nb 1.95-2.05
O: 0.2711 0.1971 0.0315  1 H 1.75, 1 Nb 1.83
O: 0.2733 0.2799 0.7080  2 O 2.62-2.64, 1 H 2.83
O: 0.2971 0.9266 0.1185  2 H 1.00
O: 0.3130 0.4333 0.5672  1 H 1.67, 1 Nb 1.82
O: 0.3713 0.4887 0.2904  2 H 0.99
O: 0.4090 0.7872 0.0053  2 H 0.99
O: 0.4675 0.8435 0.7282  1 H 1.67, 1 Nb 1.82
O: 0.4828 0.3496 0.1769  2 H 1.00
O: 0.5084 0.9935 0.5901  2 O 2.58-2.64, 1 H 2.80
O: 0.5087 0.1943 0.9736  2 O 2.49-2.74
O: 0.5154 0.0791 0.2628  1 H 1.72, 1 Nb 1.81
O: 0.5571 0.5894 0.8781  2 Nb 1.95-2.05
O: 0.5928 0.3472 0.6334  2 H 0.99-1.00
O: 0.5949 0.8317 0.4248  2 Nb 1.95-2.05
O: 0.6081 0.3542 0.0359  2 H 1.68-1.85, 1 Nb 1.83
O: 0.6466 0.5968 0.5811  2 H 1.64-1.82, 1 Nb 1.82
O: 0.6660 0.8083 0.8642  2 Nb 1.94-2.07
O: 0.6714 0.3720 0.4386  2 H 0.98-1.00
O: 0.6763 0.5985 0.1711  2 H 0.99
O: 0.6962 0.5309 0.7411  1 H 1.00
O: 0.7014 0.0433 0.4110  2 Nb 1.96-2.03
O: 0.7250 0.5815 0.0094  2 H 1.88-1.95, 2 Nb 2.02-2.03
O: 0.7416 0.7690 0.2907  2 Nb 1.99-2.01
O: 0.7670 0.3089 0.8865  2 Nb 1.99-2.01
O: 0.7741 0.8137 0.5607  1 H 1.68
O: 0.7994 0.0578 0.1153  2 H 0.99-1.00
O: 0.8025 0.7482 0.7238  1 H 1.01
O: 0.8086 0.5436 0.4374  1 H 1.68
O: 0.8453 0.8000 0.0113  1 Nb 1.81, 1 H 1.86
O: 0.8473 0.9801 0.2777  1 H 1.68
O: 0.8581 0.0589 0.5501  1 Nb 1.80
O: 0.8663 0.5246 0.8702  6 Nb 2.34-2.52
O: 0.9150 0.7518 0.4256  6 Nb 2.34-2.53
O: 0.9201 0.2164 0.7461  1 Nb 1.81
O: 0.9353 0.2960 0.0179  1 H 1.70
O: 0.9368 0.4737 0.2845  1 Nb 1.81, 1 H 1.87
O: 0.9718 0.7338 0.8579  1 H 1.66
O: 0.9777 0.5288 0.5714  1 H 1.01
O: 0.9864 0.2168 0.1811  2 H 0.99-1.00

## Properties
Size of the total moment: 8.00 μB/cell
Theoretical density: 3.261 g/cm³



[2]
Compound: Nb4H3S8
Source: the Materials Project database
Functional: GGA-PBE
Structure: relaxed

Cell lengths 3.3574, 3.3574, 27.0840 Å; angles 90.00, 90.00, 120.00 degrees
Closest atoms and distances in Å follow each position.
Sites, in units of the cell vectors:
Nb: 0.0000 0.0000 0.0000  3 H 1.94
Nb: 0.0000 0.0000 0.5000  6 S 2.49
Nb: 0.6667 0.3333 0.2503  3 H 1.94
Nb: 0.6667 0.3333 0.7497  3 H 1.94
H: 0.3333 0.6667 0.0000  3 Nb 1.94
H: 0.3333 0.6667 0.2503  3 Nb 1.94
H: 0.3333 0.6667 0.7497  3 Nb 1.94
S: 0.0000 0.0000 0.1895  3 Nb 2.54, 3 H 2.54
S: 0.0000 0.0000 0.3111  3 H 2.54, 3 Nb 2.54
S: 0.0000 0.0000 0.6889  3 H 2.54, 3 Nb 2.54
S: 0.0000 0.0000 0.8105  3 Nb 2.54, 3 H 2.54
S: 0.6667 0.3333 0.0608  3 Nb 2.54, 3 H 2.54
S: 0.6667 0.3333 0.4420  3 Nb 2.49
S: 0.6667 0.3333 0.5580  3 Nb 2.49
S: 0.6667 0.3333 0.9392  3 Nb 2.54, 3 H 2.54

## Properties
Theoretical density: 3.964 g/cm³



[3]
Compound: NbH4Se2
Source: the Materials Project database
Functional: GGA-PBE
Structure: relaxed

Cell lengths 7.8663, 7.8663, 7.7682 Å; angles 103.03, 103.03, 121.97 degrees
Closest atoms and distances in Å follow each position.
Sites, in units of the cell vectors:
Nb: 0.2004 0.7996 0.5000  2 H 1.77
Nb: 0.7996 0.2004 0.0000  2 H 1.77
H: 0.2038 0.3882 0.1037  1 Se 1.51
H: 0.3337 0.6880 0.4372  1 Nb 1.77
H: 0.3882 0.2038 0.6037  1 Se 1.51
H: 0.5832 0.5843 0.8130  2 H 2.20-2.40
H: 0.5843 0.5832 0.3130  2 H 2.20-2.40
H: 0.6737 0.9172 0.9319  1 Nb 1.77
H: 0.6880 0.3337 0.9372  1 Nb 1.77
H: 0.9172 0.6737 0.4319  1 Nb 1.77
Se: 0.1039 0.3457 0.8937  1 H 1.51
Se: 0.3457 0.1039 0.3937  1 H 1.51
Se: 0.3521 0.9207 0.8399  1 Nb 2.36, 1 H 2.49
Se: 0.9207 0.3521 0.3399  1 Nb 2.36, 1 H 2.49

## Properties
Size of the total moment: 2.00 μB/cell
Theoretical density: 2.344 g/cm³



[4]
Compound: NbH4Se2
Source: the Materials Project database
Functional: GGA-PBE
Structure: relaxed

Cell lengths 3.9337, 3.9337, 12.5368 Å; angles 90.80, 90.80, 59.06 degrees
Closest atoms and distances in Å follow each position.
Sites, in units of the cell vectors:
Nb: 0.1646 0.1646 0.2409  3 H 1.88-1.90
Nb: 0.8354 0.8354 0.7591  3 H 1.88-1.90
H: 0.1690 0.6654 0.8802  5 H 1.86-1.98, 1 Nb 1.88, 2 Se 1.95-1.98
H: 0.3346 0.3346 0.1222  1 Nb 1.90, 5 H 1.92-1.98, 2 Se 1.94
H: 0.3346 0.8310 0.1198  5 H 1.86-1.98, 1 Nb 1.88, 2 Se 1.95-1.98
H: 0.5000 0.5000 0.0000  6 H 1.86-1.92
H: 0.5000 0.5000 0.5000  6 Se 2.71-2.82
H: 0.6654 0.1690 0.8802  5 H 1.86-1.98, 1 Nb 1.88, 2 Se 1.95-1.98
H: 0.6654 0.6654 0.8778  1 Nb 1.90, 5 H 1.92-1.98, 2 Se 1.94
H: 0.8310 0.3346 0.1198  5 H 1.86-1.98, 1 Nb 1.88, 2 Se 1.95-1.98
Se: 0.1595 0.1595 0.6243  3 H 2.71-2.82, 3 Nb 2.81-2.83
Se: 0.1646 0.1646 0.8840  6 H 1.94-1.98
Se: 0.8354 0.8354 0.1160  6 H 1.94-1.98
Se: 0.8405 0.8405 0.3757  3 H 2.71-2.82, 3 Nb 2.81-2.83

## Properties
Size of the total moment: 0.30 μB/cell
Theoretical density: 5.087 g/cm³



[5]
Compound: NbHSe2
Source: the Materials Project database
Functional: GGA-PBE
Structure: relaxed

Cell lengths 3.3779, 3.3779, 13.1180 Å; angles 90.00, 90.00, 120.00 degrees
Closest atoms and distances in Å follow each position.
Sites, in units of the cell vectors:
Nb: 0.3333 0.6667 0.2500  6 Se 2.62
Nb: 0.6667 0.3333 0.7500  6 Se 2.62
H: 0.0000 0.0000 0.0000  6 Se 2.48
H: 0.0000 0.0000 0.5000  6 Se 2.48
Se: 0.3333 0.6667 0.6163  3 H 2.48, 3 Nb 2.62
Se: 0.3333 0.6667 0.8837  3 H 2.48, 3 Nb 2.62
Se: 0.6667 0.3333 0.1163  3 H 2.48, 3 Nb 2.62
Se: 0.6667 0.3333 0.3837  3 H 2.48, 3 Nb 2.62

## Properties
Size of the total moment: 0.00 μB/cell
Theoretical density: 6.452 g/cm³



[6]
Compound: Nb3SnH
Source: the Materials Project database
Functional: GGA-PBE
Structure: relaxed

Cell lengths 5.3902, 5.4036, 5.4036 Å; angles 90.22, 90.00, 90.00 degrees
Closest atoms and distances in Å follow each position.
Sites, in units of the cell vectors:
Nb: 0.0000 0.0000 0.0000  2 H 1.94
Nb: 0.2500 0.2614 0.5132  1 H 1.94
Nb: 0.2500 0.7535 0.5173  1 H 1.96
Nb: 0.5000 0.0000 0.0000  2 H 1.94
Nb: 0.7500 0.5132 0.2614  1 H 1.94
Nb: 0.7500 0.5173 0.7535  1 H 1.96
Sn: 0.2500 0.5074 0.0075  12 Nb 2.97-3.06, 4 H 3.01-3.03
Sn: 0.7500 0.0075 0.5074  12 Nb 2.97-3.06, 4 H 3.01-3.03
H: 0.2500 0.0071 0.2594  4 Nb 1.94-1.96
H: 0.7500 0.2594 0.0071  4 Nb 1.94-1.96

## Properties
Theoretical density: 8.408 g/cm³



[7]
Compound: NdH2
Source: the Materials Project database
Functional: GGA-PBE
Structure: relaxed

Cell lengths 5.4978, 5.4978, 5.4978 Å; angles 90.00, 90.00, 90.00 degrees
Closest atoms and distances in Å follow each position.
Sites, in units of the cell vectors:
Nd: 0.0000 0.0000 0.0000  8 H 2.38
Nd: 0.0000 0.5000 0.5000  8 H 2.38
Nd: 0.5000 0.0000 0.5000  8 H 2.38
Nd: 0.5000 0.5000 0.0000  8 H 2.38
H: 0.2500 0.2500 0.2500  4 Nd 2.38
H: 0.2500 0.2500 0.7500  4 Nd 2.38
H: 0.2500 0.7500 0.2500  4 Nd 2.38
H: 0.2500 0.7500 0.7500  4 Nd 2.38
H: 0.7500 0.2500 0.2500  4 Nd 2.38
H: 0.7500 0.2500 0.7500  4 Nd 2.38
H: 0.7500 0.7500 0.2500  4 Nd 2.38
H: 0.7500 0.7500 0.7500  4 Nd 2.38

## Properties
Theoretical density: 5.846 g/cm³



[8]
Compound: NdH3
Source: the Materials Project database
Functional: GGA-PBE
Structure: relaxed

Cell lengths 6.6666, 6.6666, 6.9138 Å; angles 90.00, 90.00, 120.00 degrees
Closest atoms and distances in Å follow each position.
Sites, in units of the cell vectors:
Nd: 0.0000 0.3362 0.2500  9 H 2.24-2.45
Nd: 0.0000 0.6638 0.7500  9 H 2.24-2.45
Nd: 0.3362 0.0000 0.2500  9 H 2.24-2.45
Nd: 0.3362 0.3362 0.7500  9 H 2.24-2.45
Nd: 0.6638 0.0000 0.7500  9 H 2.24-2.45
Nd: 0.6638 0.6638 0.2500  9 H 2.24-2.45
H: 0.0000 0.0000 0.2500  3 Nd 2.24, 6 H 2.48
H: 0.0000 0.0000 0.7500  3 Nd 2.24, 6 H 2.48
H: 0.0250 0.3470 0.9057  2 H 2.17-2.42, 2 Nd 2.37-2.38
H: 0.0250 0.6780 0.4057  2 H 2.17-2.42, 2 Nd 2.37-2.38
H: 0.3220 0.3470 0.4057  2 H 2.17-2.42, 2 Nd 2.37-2.38
H: 0.3220 0.9750 0.9057  2 H 2.17-2.42, 2 Nd 2.37-2.38
H: 0.3333 0.6667 0.1798  3 Nd 2.27, 3 H 2.42
H: 0.3333 0.6667 0.6798  3 Nd 2.27, 3 H 2.42
H: 0.3470 0.0250 0.5943  2 H 2.17-2.42, 2 Nd 2.37-2.38
H: 0.3470 0.3220 0.0943  2 H 2.17-2.42, 2 Nd 2.37-2.38
H: 0.6530 0.6780 0.9057  2 H 2.17-2.42, 2 Nd 2.37-2.38
H: 0.6530 0.9750 0.4057  2 H 2.17-2.42, 2 Nd 2.37-2.38
H: 0.6667 0.3333 0.3202  3 Nd 2.27, 3 H 2.42
H: 0.6667 0.3333 0.8202  3 Nd 2.27, 3 H 2.42
H: 0.6780 0.0250 0.0943  2 H 2.17-2.42, 2 Nd 2.37-2.38
H: 0.6780 0.6530 0.5943  2 H 2.17-2.42, 2 Nd 2.37-2.38
H: 0.9750 0.3220 0.5943  2 H 2.17-2.42, 2 Nd 2.37-2.38
H: 0.9750 0.6530 0.0943  2 H 2.17-2.42, 2 Nd 2.37-2.38

## Properties
Theoretical density: 5.514 g/cm³



no.,calculated formation energy (eV/atom)
1,-2.037
2,-1.123
3,0.265
4,0.385
5,-0.419
6,-0.261
7,-0.741
8,-0.676